[1]
## In2O3 (meta-GGA r2SCAN)

Data for crystalline In2O3 at its relaxed geometry.

The structure belongs to space group R-3c (No. 167, hexagonal axes); the cell edges are 5.5162, 5.5162 and 14.5911 Å and the angles 90.00°, 90.00° and 120.00°. Symmetry generates all atoms from In at (0.0000, 0.0000, 0.1429) and O at (0.0000, 0.2965, 0.2500).

For the formation enthalpy at 0 K, the calculation gives -885.6 kJ/mol of formula units. The calculation puts the total energy at -14.45 eV per atom.

[2]
## CoAsS (meta-GGA r2SCAN)

Data for crystalline CoAsS at its relaxed geometry.

The structure belongs to space group P2_13 (No. 198); the cell edges are 5.558, 5.558 and 5.558 Å and the angles 90.00°, 90.00° and 90.00°. Symmetry generates all atoms from Co at (0.007, 0.007, 0.007), As at (0.120, 0.620, 0.880) and S at (0.117, 0.883, 0.383).

Its energy above the most stable polymorph in this dataset is 0.012 eV per atom. For the formation enthalpy at 0 K, the calculation gives -135.7 kJ/mol of formula units. The calculation puts the total energy at -12.46 eV per atom.

[3]
## Pr2Mo3O12 (meta-GGA r2SCAN)

Data for crystalline Pr2Mo3O12 at its relaxed geometry.

The structure belongs to space group C2/c (No. 15); the cell edges are 7.539, 11.752 and 11.912 Å and the angles 90.00°, 108.28° and 90.00°. Symmetry generates all atoms from Pr at (0.170, 0.124, 0.090), Mo at (0.000, 0.126, 0.750), Mo at (0.164, 0.373, 0.575), O at (0.021, 0.450, 0.901), O at (0.060, 0.277, 0.460), O at (0.122, 0.204, 0.882), O at (0.153, 0.043, 0.457), O at (0.164, 0.038, 0.717) and O at (0.236, 0.198, 0.290).

Its energy above the most stable polymorph in this dataset is 0.000 eV per atom. For the formation enthalpy at 0 K, the calculation gives -4482.1 kJ/mol of formula units. The calculation puts the total energy at -15.01 eV per atom.